# 1
Na9Mg4Nb2P9O36: optimized geometry, PBE.

Formation energy ... -2806 meV/atom
Total energy after the MP2020 corrections ... -7.228 eV/atom

Cell and atoms, written as extended XYZ:
```
360
Lattice="9.001 0.000 0.000 0.014 22.088 0.000 4.490 -0.001 23.286" Properties=species:S:1:pos:R:3 pbc="T T T"
Na 0.000 0.000 0.000
Na 10.515 2.171 7.870
Na 3.239 5.702 15.610
Na 0.948 9.474 2.682
Na 2.647 5.587 10.734
Na 4.248 3.696 18.316
Na 4.243 15.085 18.188
Na 1.498 1.858 2.654
Na 4.362 18.835 12.892
Na 4.416 7.630 12.924
Na 6.030 9.277 21.064
Na 6.039 16.878 20.470
Na 3.173 13.081 5.271
Na 4.162 0.325 7.793
Na 5.717 17.016 15.752
Na 2.842 12.989 0.345
Na 5.870 1.773 15.900
Na 4.400 11.454 7.959
Na 6.023 9.415 15.314
Na 7.157 5.695 18.523
Na 4.280 3.642 2.592
Na 4.340 14.786 2.604
Na 7.315 13.343 17.938
Na 5.839 2.117 10.182
Na 7.479 20.177 18.084
Na 5.500 2.011 5.255
Na 7.154 20.321 13.372
Na 7.152 5.836 12.767
Na 8.762 7.477 20.911
Na 8.826 18.352 20.958
Na 6.044 16.475 5.075
Na 7.196 13.246 7.892
Na 7.314 20.545 7.514
Na 8.945 0.024 15.658
Na 8.934 11.410 15.525
Na 10.533 9.524 23.097
Na 7.741 5.637 7.857
Na 9.943 9.407 18.223
Na 7.168 12.922 2.635
Na 8.701 15.094 10.561
Na 7.310 5.557 2.991
Na 10.443 16.722 18.446
Na 8.925 3.996 10.528
Na 7.732 20.497 2.678
Na 11.653 5.701 20.462
Na 11.818 20.263 20.988
Na 8.848 7.551 5.266
Na 10.375 16.918 12.855
Na 10.531 9.403 13.373
Na 9.041 18.585 5.135
Na 9.950 16.658 7.882
Na 8.770 11.131 0.013
Na 11.755 20.478 15.398
Na 10.381 9.542 7.549
Mg 4.293 0.592 18.229
Mg 4.345 7.092 18.210
Mg 4.372 18.271 18.233
Mg 4.288 21.934 13.048
Mg 4.295 4.221 13.010
Mg 4.377 10.817 12.994
Mg 4.340 14.505 7.879
Mg 4.324 3.489 7.810
Mg 4.336 0.586 2.695
Mg 4.370 11.620 2.731
Mg 8.804 4.289 20.840
Mg 8.887 10.888 20.823
Mg 8.901 15.259 20.786
Mg 8.824 18.926 15.602
Mg 8.836 8.016 15.621
Mg 8.886 14.515 15.604
Mg 8.807 18.171 10.472
Mg 8.824 7.161 10.470
Mg 8.705 10.845 5.246
Mg 8.838 15.301 5.249
Mg 8.994 4.260 5.282
Mg 9.012 21.888 5.239
Mg 8.868 7.948 0.075
Mg 8.902 19.018 0.100
Nb 4.276 11.677 18.178
Nb 4.394 15.290 13.014
Nb 4.348 19.032 7.935
Nb 4.363 8.004 7.892
Nb 4.274 18.179 2.574
Nb 4.327 7.098 2.648
Nb 8.802 21.902 20.821
Nb 8.908 3.429 15.657
Nb 8.847 11.704 10.499
Nb 8.914 0.593 10.477
Nb 8.787 14.541 0.093
Nb 8.846 3.399 0.047
P 3.051 2.046 15.353
P 1.675 5.692 7.877
P 2.473 9.304 10.478
P 1.175 13.049 2.998
P 1.166 5.747 2.367
P 3.034 2.068 10.736
P 3.011 16.689 10.132
P 1.661 20.541 2.661
P 2.560 2.037 5.273
P 5.677 5.793 21.089
P 5.657 20.450 20.508
P 3.024 16.732 5.584
P 3.029 9.425 4.966
P 6.195 13.057 20.806
P 2.469 16.749 0.070
P 5.674 20.466 15.878
P 5.694 12.969 15.314
P 3.002 9.470 0.406
P 7.517 2.126 23.098
P 6.200 5.737 15.596
P 6.982 9.370 18.231
P 5.666 12.983 10.734
P 5.688 5.631 10.138
P 7.488 2.135 18.519
P 7.519 16.728 17.954
P 6.225 20.447 10.462
P 6.979 2.047 13.031
P 5.667 5.683 5.578
P 5.667 20.426 4.949
P 7.537 16.745 13.322
P 7.503 9.312 12.742
P 6.131 13.129 5.278
P 7.024 16.707 7.902
P 5.691 20.516 0.417
P 10.154 13.040 23.098
P 7.523 9.364 8.179
P 7.515 1.997 7.550
P 6.220 5.802 0.066
P 7.011 9.414 2.672
P 10.131 13.057 18.477
P 10.146 5.823 17.933
P 7.502 2.072 3.015
P 7.516 16.871 2.406
P 10.697 20.411 18.217
P 11.459 2.125 20.756
P 10.193 5.792 13.357
P 10.216 20.311 12.752
P 11.980 16.886 21.085
P 11.988 9.315 20.472
P 10.722 12.982 13.073
P 11.498 16.785 15.611
P 10.178 20.351 8.155
P 10.184 13.039 7.532
P 12.040 9.285 15.898
O 0.831 20.404 3.948
O 0.877 14.217 3.926
O 2.712 5.624 13.196
O 0.494 13.273 1.548
O 2.684 14.239 12.857
O 3.448 16.910 16.821
O 2.714 20.514 12.923
O 3.493 10.525 16.817
O 0.610 6.998 1.700
O 3.217 0.750 14.562
O 3.637 1.984 16.768
O 3.603 8.023 16.548
O 1.504 16.753 5.542
O 0.750 20.381 1.439
O 1.503 9.336 5.096
O 0.883 4.471 1.483
O 1.668 0.809 5.521
O 3.464 16.537 14.323
O 1.679 3.280 5.073
O 3.607 3.290 14.645
O 5.059 20.362 21.913
O 5.070 4.576 21.965
O 3.649 9.440 14.495
O 3.181 3.417 11.445
O 5.228 13.263 22.049
O 2.540 4.443 8.028
O 3.357 9.492 11.692
O 4.928 5.659 19.737
O 5.355 7.083 21.838
O 2.668 6.964 7.834
O 2.754 20.327 8.056
O 2.695 13.158 7.727
O 5.053 21.617 19.755
O 1.478 9.325 0.273
O 5.911 2.123 23.164
O 3.691 16.619 11.551
O 3.687 0.925 11.479
O 5.256 12.872 19.549
O 1.589 15.441 0.285
O 3.314 15.530 9.223
O 3.331 9.302 9.133
O 6.057 17.946 23.214
O 4.985 13.003 16.748
O 3.552 2.084 9.277
O 5.582 19.135 19.706
O 3.611 18.009 9.442
O 5.099 19.209 16.580
O 2.491 21.807 2.584
O 5.364 5.710 16.894
O 2.693 12.987 2.725
O 5.390 21.737 16.698
O 3.461 17.924 6.562
O 2.724 19.294 2.666
O 3.497 2.143 6.519
O 5.042 20.521 14.450
O 2.750 5.832 2.491
O 5.083 14.225 14.538
O 3.642 9.198 6.405
O 5.967 16.840 18.104
O 3.666 15.455 6.101
O 6.003 1.957 18.260
O 6.004 10.629 18.109
O 5.343 11.702 14.566
O 5.314 5.570 14.340
O 6.120 8.114 18.413
O 3.478 8.215 4.048
O 3.479 1.920 4.024
O 3.557 10.730 4.412
O 4.970 5.723 11.493
O 3.670 17.018 4.178
O 7.002 11.791 21.124
O 5.138 11.750 11.410
O 3.314 10.717 1.226
O 5.317 14.250 11.626
O 7.034 14.294 20.533
O 5.338 20.629 11.675
O 3.366 16.828 1.385
O 7.184 5.645 20.887
O 3.497 1.938 1.242
O 7.251 20.686 20.659
O 5.108 6.882 9.295
O 3.580 8.217 1.250
O 5.199 13.172 9.302
O 5.944 16.510 13.171
O 5.997 9.461 12.941
O 7.856 16.564 22.145
O 6.144 0.805 13.290
O 7.866 0.858 22.203
O 5.382 4.381 9.319
O 5.362 20.381 9.119
O 8.043 3.356 22.420
O 6.177 3.310 12.703
O 5.062 20.195 6.403
O 8.212 9.378 22.337
O 5.206 13.176 6.527
O 5.146 4.383 6.143
O 5.216 6.893 6.500
O 7.063 6.993 15.411
O 7.863 9.538 19.489
O 7.840 3.405 19.261
O 7.176 4.475 15.720
O 7.179 13.150 15.568
O 7.226 20.356 15.729
O 5.054 5.908 4.141
O 5.125 21.726 4.402
O 8.096 0.878 19.289
O 5.940 9.277 8.058
O 8.155 16.668 19.378
O 5.215 13.029 4.019
O 5.256 19.209 4.024
O 6.002 17.973 7.870
O 5.998 2.081 7.806
O 7.799 15.459 17.126
O 7.816 9.400 16.930
O 6.168 15.453 7.954
O 8.092 17.985 17.248
O 5.088 19.195 1.105
O 5.134 13.016 1.269
O 7.617 18.063 14.120
O 8.195 2.106 17.081
O 7.123 19.243 10.589
O 5.358 5.806 1.411
O 5.373 21.676 1.319
O 7.131 21.734 10.216
O 7.916 2.227 14.283
O 9.495 14.179 22.354
O 9.506 20.578 22.278
O 7.271 12.986 10.665
O 7.212 5.779 10.270
O 8.144 15.580 14.072
O 5.921 16.849 2.518
O 5.990 1.961 2.815
O 6.019 8.142 2.710
O 7.826 8.025 11.991
O 8.253 9.447 14.092
O 9.823 5.615 22.139
O 6.151 10.667 2.531
O 7.943 1.833 11.783
O 10.012 11.689 22.388
O 9.537 5.670 19.336
O 8.110 10.530 11.863
O 8.135 16.827 11.915
O 9.567 11.813 19.178
O 9.732 20.657 19.504
O 6.960 14.428 5.106
O 7.090 11.945 5.445
O 7.809 10.641 9.062
O 7.193 5.773 5.455
O 7.957 16.828 9.107
O 7.196 20.365 5.095
O 9.539 13.128 17.062
O 9.961 14.352 19.266
O 9.580 7.082 17.277
O 8.084 8.113 8.841
O 9.691 4.580 17.014
O 10.482 16.682 20.908
O 10.495 0.871 20.969
O 8.194 1.842 9.012
O 9.744 20.283 17.007
O 10.468 9.485 20.628
O 7.803 0.744 6.712
O 7.830 16.830 6.585
O 10.641 3.396 20.659
O 9.462 20.452 14.091
O 8.156 3.286 7.000
O 8.143 9.525 6.792
O 9.602 4.573 14.211
O 11.515 7.087 23.232
O 9.777 13.202 14.224
O 7.800 3.330 3.855
O 7.891 9.340 3.926
O 7.196 20.368 0.200
O 9.473 5.694 11.991
O 7.221 4.598 0.294
O 9.912 7.072 14.143
O 7.256 13.269 0.003
O 9.597 21.520 11.842
O 8.072 16.695 3.817
O 10.502 9.386 15.868
O 10.455 2.248 15.518
O 8.193 0.797 3.546
O 10.576 15.600 15.797
O 9.880 19.031 12.005
O 7.874 15.588 1.525
O 9.856 12.922 11.717
O 7.877 9.299 1.391
O 7.990 18.133 1.725
O 9.494 12.833 8.978
O 10.737 18.080 15.243
O 11.460 19.116 18.578
O 8.194 2.281 1.569
O 9.641 19.111 8.843
O 9.807 5.810 9.158
O 12.325 2.188 22.113
O 9.851 21.636 9.044
O 12.323 18.165 21.831
O 9.491 14.315 7.004
O 11.619 21.594 18.023
O 11.728 12.862 18.311
O 11.682 5.721 17.962
O 9.542 20.530 6.784
O 12.593 15.680 22.002
O 10.438 1.846 10.563
O 12.265 8.035 19.685
O 10.470 10.508 10.253
O 12.711 9.413 21.835
O 10.504 16.840 10.339
O 9.789 5.763 6.630
O 9.892 11.783 6.686
O 10.667 8.020 10.599
O 12.403 1.905 19.605
O 12.580 10.533 19.617
O 9.539 5.597 3.750
O 9.553 11.720 3.481
O 12.733 16.742 19.744
O 11.540 11.711 13.169
```

# 2
Na2MgNbP3O12: optimized geometry, PBE.

Formation energy ... -2820 meV/atom
Total energy after the MP2020 corrections ... -7.555 eV/atom

Cell and atoms, written as extended XYZ:
```
114
Lattice="8.864 0.036 -0.022 -4.401 7.623 0.000 -0.055 -0.032 22.505" Properties=species:S:1:pos:R:3 pbc="T T T"
Na 2.776 5.293 1.813
O -0.651 1.525 4.395
O 5.362 1.225 16.687
O -2.815 7.535 20.477
O 2.746 7.393 15.577
Na 4.403 7.610 22.343
O 3.387 3.761 20.756
O 0.579 1.495 15.688
O 5.104 6.074 18.116
O 3.773 4.079 11.882
O -1.678 5.305 10.583
O 3.768 1.076 20.762
O 0.680 3.520 10.629
O 3.767 0.983 14.326
O 4.978 1.069 9.503
Na 4.419 2.537 7.346
Nb -0.008 5.127 18.297
O 2.762 2.787 3.074
Nb 0.063 5.068 7.044
P -2.566 5.085 9.398
O -1.076 3.735 19.342
P -1.338 7.263 20.686
O -1.597 5.259 17.019
Nb 4.448 2.518 22.041
Na 5.983 4.846 5.557
O 3.489 1.220 5.470
P 3.171 5.428 5.633
O 5.058 4.081 0.670
O 0.538 3.587 17.012
Mg -0.033 5.033 11.672
O 5.446 1.244 0.630
O 1.562 0.213 13.283
O 6.036 2.324 11.923
Na 1.543 7.365 13.066
O 3.807 6.181 13.253
O 5.986 2.767 20.771
Mg 8.794 0.025 7.907
O -3.463 6.294 9.199
O 0.977 3.775 1.691
P 3.102 4.744 13.177
O 0.618 6.600 8.179
O 2.762 2.321 0.581
P 7.542 2.226 5.668
O 1.596 4.843 19.432
O -1.040 6.436 21.881
O 5.169 3.987 16.712
P 1.874 2.566 1.889
O 1.625 5.017 12.968
O 7.147 0.237 18.070
O 3.770 4.047 5.434
Na 4.379 2.543 18.599
O 1.006 3.763 8.139
O -0.667 6.597 19.391
O 0.783 6.537 1.715
Mg 4.407 2.515 4.163
O -1.678 4.839 8.089
P 3.132 0.324 13.142
O 2.843 2.741 9.510
P 1.308 2.186 16.947
O 3.364 1.216 11.833
Na -0.021 5.055 14.855
P -1.308 2.843 20.651
O 2.813 7.500 9.213
O 5.120 1.001 3.120
Mg 4.391 7.588 19.160
O -0.670 6.566 12.943
O -0.673 3.501 21.835
Na 2.737 0.188 9.322
Nb -4.377 7.587 14.553
Na 1.504 2.260 20.575
O -3.434 6.281 15.648
O 3.400 3.918 14.372
O -0.709 1.461 20.452
O 6.065 2.498 5.459
Na 8.819 0.024 11.090
O 7.827 1.242 13.247
P 1.247 2.849 9.433
O -0.951 3.739 12.979
O 5.017 6.173 1.994
O 6.161 2.723 14.429
P 1.347 7.291 9.438
P 5.688 0.330 1.924
O -1.611 4.946 1.726
O 1.026 6.509 10.685
O 3.402 6.321 4.324
P 5.787 4.772 1.929
O 1.737 0.169 6.942
O 5.466 3.990 3.176
P 6.999 2.610 13.181
O 1.600 5.317 5.775
O 0.745 1.433 9.224
O 1.721 5.242 21.938
O 7.840 1.399 6.863
O 3.473 6.293 20.466
Mg 4.354 2.544 15.416
Nb 4.432 2.609 10.788
O -0.998 6.311 5.760
O 0.987 1.404 18.194
P 5.671 5.403 16.920
P 2.559 5.128 20.690
O 5.417 3.816 9.518
O 2.774 2.395 16.722
O 7.283 0.222 2.001
O -2.789 7.393 4.436
Nb 0.008 0.055 3.301
Mg -0.031 5.094 0.420
O 0.993 1.262 2.031
O -0.617 3.626 5.766
O 3.806 6.087 6.818
P 2.575 0.056 5.694
Na 7.161 2.742 16.809
O 0.977 6.334 17.027
P 6.259 0.016 16.885
Na -0.006 5.093 3.603
```

Which of these has the lowest formation energy?
Na2MgNbP3O12

Which value of formation energy does entry 1 give?
-2806 meV/atom

Which value of formation energy does entry 1 give?
-2806 meV/atom